VASP calculation (PBE) on crystalline La8Sb2Se15 at its relaxed geometry.

Geometry as extended XYZ:
```
100
Lattice="-8.333 -8.333 10.503 -8.333 8.333 -10.503 8.333 -8.333 -10.503" Properties=species:S:1:pos:R:3 pbc="T T T"
Se 2.857 -7.921 -9.592
Se -2.779 -5.726 -4.554
Se -2.857 -8.744 -9.592
Se -8.950 5.903 -7.823
Se -2.429 -8.950 -2.571
Se 0.000 0.000 -21.002
Se -4.225 -2.647 2.586
Se -5.452 -8.794 -6.314
Se -5.686 4.225 -13.169
Se -5.726 5.553 -9.805
Se -5.476 -0.411 -9.592
Se -8.974 -2.522 -7.931
Se 0.000 0.000 -10.499
Se -7.691 -2.522 2.572
Se -5.446 -11.019 -0.811
Se -5.452 -7.871 4.189
Se -8.950 -5.903 2.681
Se -14.143 -0.642 -2.679
Se -10.762 0.618 -2.571
Se -2.887 2.686 -11.315
Se -5.686 -4.225 -2.666
Se 2.686 -5.446 -6.063
Se -4.225 2.647 -7.918
Se -2.857 -7.921 0.911
Se -4.108 -5.686 -7.918
Se -11.112 -2.606 -4.554
Se -5.726 -5.553 0.698
Se -8.744 -5.476 -4.341
Se -5.903 0.618 -13.074
Se -2.647 -4.108 -13.169
Se 0.462 -11.213 -1.062
Se -5.553 2.606 -4.554
Se -2.606 -2.779 -9.805
Se -0.411 -2.857 -4.341
Se -7.921 -5.476 6.163
Se -2.606 -13.886 0.698
Se 0.000 -8.333 -5.247
Se -4.108 -10.979 2.586
Se 0.462 -5.452 -11.566
Se 0.411 -2.857 -14.844
Se 2.779 -10.939 -4.554
Se -2.881 0.462 -16.817
Se -2.522 -0.642 -13.183
Se -5.646 -2.887 -6.063
Se -7.691 2.522 -7.931
Se -0.642 -5.811 -7.931
Se -0.462 -5.452 -1.062
Se -5.811 -7.691 -2.679
Se -11.019 2.887 -6.063
Se -7.715 -5.903 -7.823
Se -2.686 -11.219 -6.063
Se -2.647 -12.557 -2.666
Se -2.887 -2.686 -0.811
Se -5.903 -0.618 -2.571
Se 0.618 -2.429 -7.823
Se -2.881 -0.462 -6.314
Se -2.522 0.642 -2.679
Se -8.794 -2.881 -1.062
Se -8.333 0.000 -5.247
Se -5.446 -5.646 -11.315
Sb -3.600 1.727 -13.714
Sb -3.600 -1.727 -3.211
Sb -13.065 1.727 -3.211
Sb -6.606 -3.600 -8.463
Sb -1.727 -4.732 2.040
Sb -10.059 -3.600 2.040
Sb -4.732 -10.059 -3.211
Sb 1.727 -4.732 -8.463
La -4.866 -2.294 -11.983
La -6.038 -4.866 3.772
La 5.755 -8.654 -9.176
La -11.799 -2.294 -1.479
La -8.654 2.577 -3.925
La 0.322 -5.755 -3.925
La -3.467 -6.038 -1.479
La -0.317 -14.157 -1.438
La 0.317 -2.508 -1.438
La -5.841 -5.953 -5.278
La -5.953 2.492 -10.529
La -5.755 -8.654 1.327
La -5.824 0.317 -6.690
La -5.841 -10.712 5.226
La -2.508 -8.016 -6.690
La 2.508 -8.649 -6.690
La -8.011 -2.577 -3.925
La -10.841 -0.317 -6.690
La -2.379 -10.824 -0.026
La -8.016 -5.824 -1.438
La 3.467 -6.038 -11.983
La -6.038 4.866 -6.731
La -5.953 -2.492 -0.026
La -2.492 -2.379 -15.781
La -0.322 -10.910 -3.925
La -2.379 -5.841 -10.529
La -2.492 2.379 -5.278
La -0.317 -2.508 -11.942
La -5.755 -8.011 -9.176
La -2.577 0.322 -9.176
La -10.627 -4.866 -6.731
La -2.294 -3.467 -6.731
```

Properties
Uncorrected energy: -5.6827 eV/atom
Calculated volume: 29.2 Å³ per atom
Space-group type: No. 110
Formation energy: -1.9585 eV per atom
Crystal system: tetragonal